VASP calculation (PBE-GGA) on a geometry-optimized AgBO2 structure.

Properties
Total energy, eV per atom: -6.394
ΔE_f, eV per atom: -1.886

Lattice parameters (Å, degrees): 8.6405 8.7660 19.9698 90.00 90.00 90.00
Element x y z (fractional)
1 Ag 0.0000 0.0000 0.0000
2 Ag 0.0000 0.0000 0.5000
3 Ag 0.0000 0.4656 0.2500
4 Ag 0.0000 0.5344 0.7500
5 Ag 0.0029 0.2925 0.6106
6 Ag 0.0029 0.7075 0.1106
7 Ag 0.1918 0.2605 0.7693
8 Ag 0.1918 0.7395 0.2693
9 Ag 0.2177 0.3671 0.4140
10 Ag 0.2177 0.6329 0.9140
11 Ag 0.2823 0.1329 0.9140
12 Ag 0.2823 0.8671 0.4140
13 Ag 0.3082 0.2395 0.2693
14 Ag 0.3082 0.7605 0.7693
15 Ag 0.4971 0.2075 0.1106
16 Ag 0.4971 0.7925 0.6106
17 Ag 0.5000 0.0344 0.7500
18 Ag 0.5000 0.5000 0.0000
19 Ag 0.5000 0.5000 0.5000
20 Ag 0.5000 0.9656 0.2500
21 Ag 0.5029 0.2075 0.3894
22 Ag 0.5029 0.7925 0.8894
23 Ag 0.6918 0.2395 0.2307
24 Ag 0.6918 0.7605 0.7307
25 Ag 0.7177 0.1329 0.5860
26 Ag 0.7177 0.8671 0.0860
27 Ag 0.7823 0.3671 0.0860
28 Ag 0.7823 0.6329 0.5860
29 Ag 0.8082 0.2605 0.7307
30 Ag 0.8082 0.7395 0.2307
31 Ag 0.9971 0.2925 0.8894
32 Ag 0.9971 0.7075 0.3894
33 B 0.0566 0.0472 0.3265
34 B 0.0566 0.9528 0.8265
35 B 0.1112 0.2613 0.1329
36 B 0.1112 0.7387 0.6329
37 B 0.1763 0.3731 0.0236
38 B 0.1763 0.6269 0.5236
39 B 0.2184 0.0064 0.6335
40 B 0.2184 0.9936 0.1335
41 B 0.2816 0.4936 0.1335
42 B 0.2816 0.5064 0.6335
43 B 0.3237 0.1269 0.5236
44 B 0.3237 0.8731 0.0236
45 B 0.3888 0.2387 0.6329
46 B 0.3888 0.7613 0.1329
47 B 0.4434 0.4528 0.8265
48 B 0.4434 0.5472 0.3265
49 B 0.5566 0.4528 0.6735
50 B 0.5566 0.5472 0.1735
51 B 0.6112 0.2387 0.8671
52 B 0.6112 0.7613 0.3671
53 B 0.6763 0.1269 0.9764
54 B 0.6763 0.8731 0.4764
55 B 0.7184 0.4936 0.3665
56 B 0.7184 0.5064 0.8665
57 B 0.7816 0.0064 0.8665
58 B 0.7816 0.9936 0.3665
59 B 0.8237 0.3731 0.4764
60 B 0.8237 0.6269 0.9764
61 B 0.8888 0.2613 0.3671
62 B 0.8888 0.7387 0.8671
63 B 0.9434 0.0472 0.1735
64 B 0.9434 0.9528 0.6735
65 O 0.0308 0.2030 0.3355
66 O 0.0308 0.7970 0.8355
67 O 0.0653 0.0544 0.6609
68 O 0.0653 0.9456 0.1609
69 O 0.0758 0.2828 0.0598
70 O 0.0758 0.7172 0.5598
71 O 0.1523 0.4092 0.1629
72 O 0.1523 0.5908 0.6629
73 O 0.1775 0.3839 0.9554
74 O 0.1775 0.6161 0.4554
75 O 0.1970 0.0038 0.8054
76 O 0.1970 0.9962 0.3054
77 O 0.2123 0.0429 0.5589
78 O 0.2123 0.9571 0.0589
79 O 0.2417 0.1555 0.1439
80 O 0.2417 0.8445 0.6439
81 O 0.2583 0.3445 0.6439
82 O 0.2583 0.6555 0.1439
83 O 0.2877 0.4571 0.0589
84 O 0.2877 0.5429 0.5589
85 O 0.3030 0.4962 0.3054
86 O 0.3030 0.5038 0.8054
87 O 0.3225 0.1161 0.4554
88 O 0.3225 0.8839 0.9554
89 O 0.3477 0.0908 0.6629
90 O 0.3477 0.9092 0.1629
91 O 0.4242 0.2172 0.5598
92 O 0.4242 0.7828 0.0598
93 O 0.4347 0.4456 0.1609
94 O 0.4347 0.5544 0.6609
95 O 0.4692 0.2970 0.8355
96 O 0.4692 0.7030 0.3355
97 O 0.5308 0.2970 0.6645
98 O 0.5308 0.7030 0.1645
99 O 0.5653 0.4456 0.3391
100 O 0.5653 0.5544 0.8391
101 O 0.5758 0.2172 0.9402
102 O 0.5758 0.7828 0.4402
103 O 0.6523 0.0908 0.8371
104 O 0.6523 0.9092 0.3371
105 O 0.6775 0.1161 0.0446
106 O 0.6775 0.8839 0.5446
107 O 0.6970 0.4962 0.1946
108 O 0.6970 0.5038 0.6946
109 O 0.7123 0.4571 0.4411
110 O 0.7123 0.5429 0.9411
111 O 0.7417 0.3445 0.8561
112 O 0.7417 0.6555 0.3561
113 O 0.7583 0.1555 0.3561
114 O 0.7583 0.8445 0.8561
115 O 0.7877 0.0429 0.9411
116 O 0.7877 0.9571 0.4411
117 O 0.8030 0.0038 0.6946
118 O 0.8030 0.9962 0.1946
119 O 0.8225 0.3839 0.5446
120 O 0.8225 0.6161 0.0446
121 O 0.8477 0.4092 0.3371
122 O 0.8477 0.5908 0.8371
123 O 0.9242 0.2828 0.4402
124 O 0.9242 0.7172 0.9402
125 O 0.9347 0.0544 0.8391
126 O 0.9347 0.9456 0.3391
127 O 0.9692 0.2030 0.1645
128 O 0.9692 0.7970 0.6645